Entry 1:
DFT (GGA+U) results for a relaxed structure of Li3Mn2CoO6.

a = 2.9934 Å, b = 2.9934 Å, c = 14.6937 Å
α = 90.00°, β = 90.00°, γ = 120.00°
Last column: nearest neighbours and their distance in Å.
Fractional coordinates of all 12 atoms:
Li1 0.0000 0.0000 0.0000  6 O 2.18
Li2 0.3333 0.6667 0.3452  3 O 2.06
Li3 0.6667 0.3333 0.6548  3 O 2.06
Mn1 0.3333 0.6667 0.8324  6 O 2.02-2.06
Mn2 0.6667 0.3333 0.1676  6 O 2.02-2.06
Co1 0.0000 0.0000 0.5000  6 O 2.07
O1 0.0000 0.0000 0.2391  3 Mn 2.02
O2 0.0000 0.0000 0.7609  3 Mn 2.02
O3 0.3333 0.6667 0.0909  3 Mn 2.06, 3 Li 2.18
O4 0.3333 0.6667 0.5781  3 Li 2.06, 3 Co 2.07
O5 0.6667 0.3333 0.4219  3 Li 2.06, 3 Co 2.07
O6 0.6667 0.3333 0.9091  3 Mn 2.06, 3 Li 2.18

Summary:
E (MP2020): -6.979 eV/atom
Polymorph energy (0 for the lowest one): 1.14 eV per formula unit

***

Entry 2:
DFT (GGA+U) results for a relaxed structure of CoPO4.

a = 9.0673 Å, b = 5.4283 Å, c = 17.9096 Å
α = 90.00°, β = 92.24°, γ = 90.00°
Last column: nearest neighbours and their distance in Å.
Fractional coordinates of all 48 atoms:
Co1 0.0823 0.2364 0.0914  4 O 1.85-1.86
Co2 0.0823 0.2636 0.5914  4 O 1.85-1.86
Co3 0.4053 0.2223 0.8377  4 O 1.84-1.87
Co4 0.4053 0.2777 0.3377  4 O 1.84-1.87
Co5 0.5947 0.7223 0.6623  4 O 1.84-1.87
Co6 0.5947 0.7777 0.1623  4 O 1.84-1.87
Co7 0.9177 0.7364 0.4086  4 O 1.85-1.86
Co8 0.9177 0.7636 0.9086  4 O 1.85-1.86
P1 0.0793 0.2405 0.4049  4 O 1.53-1.55
P2 0.0793 0.2595 0.9049  4 O 1.53-1.55
P3 0.4096 0.2258 0.6558  4 O 1.55
P4 0.4096 0.2742 0.1558  4 O 1.55
P5 0.5904 0.7258 0.8442  4 O 1.55
P6 0.5904 0.7742 0.3442  4 O 1.55
P7 0.9207 0.7405 0.0951  4 O 1.53-1.55
P8 0.9207 0.7595 0.5951  4 O 1.53-1.55
O1 0.0124 0.5275 0.1308  1 P 1.55
O2 0.0124 0.9725 0.6308  1 P 1.55
O3 0.0273 0.0157 0.8669  1 P 1.55
O4 0.0273 0.4843 0.3669  1 P 1.55
O5 0.0509 0.2494 0.9888  1 P 1.53
O6 0.0509 0.2506 0.4888  1 P 1.53
O7 0.2450 0.2003 0.3934  1 P 1.54
O8 0.2450 0.2997 0.8934  1 P 1.54
O9 0.2841 0.1846 0.1014  1 P 1.55
O10 0.2841 0.3154 0.6014  1 P 1.55
O11 0.3550 0.2444 0.7362  1 P 1.55
O12 0.3550 0.2556 0.2362  1 P 1.55
O13 0.4496 0.5434 0.1370  1 P 1.55
O14 0.4496 0.9566 0.6370  1 P 1.55
O15 0.4542 0.6058 0.3539  1 P 1.55
O16 0.4542 0.8942 0.8539  1 P 1.55
O17 0.5458 0.1058 0.1461  1 P 1.55
O18 0.5458 0.3942 0.6461  1 P 1.55
O19 0.5504 0.0434 0.3630  1 P 1.55
O20 0.5504 0.4566 0.8630  1 P 1.55
O21 0.6450 0.7444 0.7638  1 P 1.55
O22 0.6450 0.7556 0.2638  1 P 1.55
O23 0.7159 0.6846 0.3986  1 P 1.55
O24 0.7159 0.8154 0.8986  1 P 1.55
O25 0.7550 0.7003 0.1066  1 P 1.54
O26 0.7550 0.7997 0.6066  1 P 1.54
O27 0.9491 0.7494 0.5112  1 P 1.53
O28 0.9491 0.7506 0.0112  1 P 1.53
O29 0.9727 0.5157 0.6331  1 P 1.55
O30 0.9727 0.9843 0.1331  1 P 1.55
O31 0.9876 0.0275 0.3692  1 P 1.55
O32 0.9876 0.4725 0.8692  1 P 1.55

Summary:
E (MP2020): -7.462 eV/atom

***

Entry 3:
DFT (GGA+U) results for a relaxed structure of Li4V3OF11.

a = 5.2527 Å, b = 5.4602 Å, c = 16.1809 Å
α = 80.41°, β = 89.87°, γ = 88.64°
Last column: nearest neighbours and their distance in Å.
Fractional coordinates of all 38 atoms:
Li1 0.0000 0.0000 0.0000  3 F 1.82-2.01
Li2 0.0211 0.6618 0.6511  3 F 1.95-2.05, 1 O 2.05
Li3 0.0538 0.5366 0.1186  3 F 1.89-2.12, 1 O 1.96
Li4 0.3570 0.1541 0.3721  4 F 1.90-2.05
Li5 0.4941 0.7433 0.7644  2 F 1.84-1.90
Li6 0.5180 0.1038 0.1073  4 F 1.97-2.08
Li7 0.5667 0.1903 0.6473  4 F 1.92-2.13
Li8 0.8347 0.6017 0.3958  4 F 1.87-2.08
V1 0.0166 0.9788 0.2162  1 O 1.89, 5 F 1.89-2.08
V2 0.0276 0.6182 0.8831  6 F 1.92-2.09
V3 0.0465 0.2583 0.5514  1 O 1.89, 4 F 1.94-2.09
V4 0.5136 0.7959 0.5479  1 O 1.90, 5 F 1.91-2.07
V5 0.5273 0.1289 0.8793  6 F 1.92-2.07
V6 0.5479 0.4577 0.2139  1 O 1.90, 5 F 1.95-2.08
O1 0.2196 0.9521 0.5862  2 V 1.89-1.90, 1 Li 2.05
O2 0.8373 0.2822 0.1805  2 V 1.89-1.90, 1 Li 1.96
F1 0.1165 0.3317 0.4324  2 Li 1.93-2.08, 1 V 1.94
F2 0.1523 0.6335 0.7702  2 Li 1.90-2.03, 1 V 1.93
F3 0.1686 0.9875 0.0990  2 Li 1.82-1.97
F4 0.1907 0.2847 0.9153  2 V 1.98-2.07, 1 Li 2.16
F5 0.2096 0.6414 0.2278  2 V 2.05-2.06, 1 Li 2.12
F6 0.3454 0.1373 0.2500  1 Li 1.99, 2 V 2.07
F7 0.3470 0.4576 0.5888  1 Li 1.95, 2 V 2.07-2.09
F8 0.3500 0.8091 0.9044  2 V 1.98-2.07
F9 0.3990 0.4527 0.1010  2 Li 1.89-1.98, 1 V 1.99
F10 0.4414 0.1209 0.7647  1 V 1.92, 2 Li 1.99-2.07
F11 0.4448 0.8317 0.4305  1 Li 1.90, 1 V 1.91
F12 0.6113 0.4295 0.3336  2 Li 1.91-2.05, 1 V 1.95
F13 0.6523 0.1100 0.9920  2 Li 1.91-1.99, 1 V 1.93
F14 0.6713 0.7737 0.6653  2 Li 1.84-1.95, 1 V 2.06
F15 0.6926 0.4595 0.8496  2 V 2.01-2.09, 1 Li 2.15
F16 0.7006 0.1207 0.5289  2 V 2.03-2.04, 1 Li 2.13
F17 0.7167 0.7953 0.1713  2 V 2.08, 1 Li 2.08
F18 0.8433 0.6078 0.5211  1 Li 2.03, 2 V 2.07-2.15
F19 0.8511 0.9424 0.8542  2 V 1.96-2.04
F20 0.9053 0.3023 0.6607  2 Li 1.92-2.05, 1 V 1.97
F21 0.9362 0.9016 0.3317  1 Li 1.87, 1 V 1.89
F22 0.9427 0.6397 0.9971  1 V 1.92, 2 Li 2.01-2.04

Summary:
E (MP2020): -6.303 eV/atom
Polymorph energy (0 for the lowest one): 0.52 eV per formula unit

***

no.,ΔE_f (eV per formula unit)
1,-22.90
2,-12.46
3,-58.86